## a
Fe4C after structural relaxation, computed with PBE-GGA.

Cell lengths 3.842, 3.842, 3.842 Å; angles 90.00, 90.00, 90.00 degrees
Fractional positions:
Fe 0.231 0.231 0.769
Fe 0.231 0.769 0.231
Fe 0.769 0.231 0.231
Fe 0.769 0.769 0.769
C 0.500 0.500 0.500

Total magnetic moment = 8.3 μB per formula unit

---

## b
Fe4C after structural relaxation, computed with PBE-GGA.

Cell lengths 4.480, 4.480, 4.480 Å; angles 94.36, 94.36, 147.98 degrees
Fractional positions:
Fe 0.074 0.737 0.811
Fe 0.263 0.074 0.338
Fe 0.737 0.926 0.662
Fe 0.926 0.263 0.189
C 0.500 0.500 0.000

Total magnetic moment = 0.4 μB per formula unit

---

Which of them is the most stable, and which is the least stable? b and a, in that order.

---

## a
LiF after structural relaxation, computed with PBE-GGA.

Cell lengths 2.560, 2.560, 2.560 Å; angles 90.00, 90.00, 90.00 degrees
Fractional positions:
Li 0.000 0.000 0.000
F 0.500 0.500 0.500

Total magnetic moment = 0.0 μB per formula unit

---

## b
LiF after structural relaxation, computed with PBE-GGA.

Cell lengths 3.140, 3.140, 4.946 Å; angles 90.00, 90.00, 120.00 degrees
Fractional positions:
Li 0.333 0.667 0.000
Li 0.667 0.333 0.500
F 0.333 0.667 0.615
F 0.667 0.333 0.115

---

Which of them is the most stable, and which is the least stable? b and a, in that order.